# Tm3Ga2Ge3 | the Materials Project | r2SCAN | relaxed
data_Tm3Ga2Ge3
_cell_length_a 7.685
_cell_length_b 7.685
_cell_length_c 7.685
_cell_angle_alpha 119.68
_cell_angle_beta 119.68
_cell_angle_gamma 90.55
_space_group_name_H-M_alt 'P 1'
_space_group_IT_number 1
_space_group_name_Hall 'P 1'
loop_
_atom_site_label
_atom_site_fract_x
_atom_site_fract_y
_atom_site_fract_z
Tm1 0.165 0.339 0.500
Tm2 0.339 0.839 0.174
Tm3 0.742 0.742 0.000
Tm4 0.242 0.242 0.000
Tm5 0.839 0.665 0.500
Tm6 0.665 0.165 0.826
Ge1 0.490 0.490 0.000
Ge2 0.043 0.543 0.202
Ge3 0.543 0.341 0.500
Ge4 0.341 0.841 0.798
Ge5 0.841 0.043 0.500
Ge6 0.990 0.990 0.000
Ga1 0.677 0.177 0.223
Ga2 0.453 0.677 0.500
Ga3 0.177 0.953 0.500
Ga4 0.953 0.453 0.777
# DFT formation energy   -73.6 kJ per mole of atoms
# DFT total energy   -22.00 eV/atom